## TbCu4Pd (PBE)

Data for a geometry-optimized TbCu4Pd structure.

Cell: 4.995 4.995 4.995 Å, 60.00 60.00 60.00°
Atoms (fractional coordinates):
Tb 0.000 0.000 0.000
Cu 0.128 0.624 0.624
Cu 0.624 0.128 0.624
Cu 0.624 0.624 0.128
Cu 0.624 0.624 0.624
Pd 0.250 0.250 0.250

Computed properties:
**Space-group type**: F-43m, No. 216
**E_tot**: -4.725 eV per atom
**Crystal system**: cubic

## Ce2Cd17 (PBE)

Data for a geometry-optimized Ce2Cd17 structure.

Cell: 10.264 10.590 10.592 Å, 60.05 89.90 89.96°
Atoms (fractional coordinates):
Ce 0.000 0.000 0.000
Ce 0.000 0.333 0.333
Ce 0.500 0.334 0.333
Ce 0.500 0.667 0.667
Cd 0.000 0.341 0.665
Cd 0.000 0.341 0.994
Cd 0.000 0.665 0.341
Cd 0.000 0.665 0.994
Cd 0.000 0.994 0.341
Cd 0.000 0.994 0.665
Cd 0.152 0.667 0.667
Cd 0.245 0.171 0.657
Cd 0.245 0.172 0.171
Cd 0.245 0.657 0.171
Cd 0.250 0.333 0.833
Cd 0.250 0.833 0.333
Cd 0.250 0.833 0.833
Cd 0.255 0.010 0.495
Cd 0.255 0.495 0.010
Cd 0.255 0.495 0.495
Cd 0.349 0.000 0.000
Cd 0.500 0.003 0.325
Cd 0.500 0.003 0.672
Cd 0.500 0.325 0.003
Cd 0.500 0.325 0.672
Cd 0.500 0.672 0.003
Cd 0.500 0.672 0.325
Cd 0.652 0.000 0.000
Cd 0.745 0.010 0.495
Cd 0.745 0.495 0.010
Cd 0.745 0.495 0.495
Cd 0.750 0.333 0.833
Cd 0.750 0.833 0.333
Cd 0.750 0.833 0.833
Cd 0.755 0.172 0.171
Cd 0.755 0.172 0.657
Cd 0.755 0.657 0.171
Cd 0.848 0.667 0.667

Computed properties:
**Space-group type**: P1, No. 1
**E_tot**: -1.536 eV per atom
**Crystal system**: triclinic